Record 1
Density functional theory data (PBE-GGA) for a relaxed structure of Sb8Cl2O11.

Unit cell a=10.700 b=11.552 c=14.246 alpha=78.35 beta=76.41 gamma=72.83
Atoms (fractional coordinates):
Sb  0.362  0.888  0.729
Sb  0.297  0.627  0.391
Sb  0.993  0.379  0.813
Sb  0.309  0.861  0.134
Sb  0.840  0.850  0.683
Sb  0.309  0.127  0.860
Sb  0.276  0.377  0.639
Sb  0.369  0.650  0.974
Sb  0.018  0.614  0.558
Sb  0.691  0.139  0.866
Sb  0.175  0.912  0.559
Sb  0.842  0.579  0.968
Sb  0.158  0.421  0.032
Sb  0.012  0.101  0.068
Sb  0.969  0.149  0.689
Sb  0.660  0.857  0.505
Sb  0.665  0.598  0.754
Sb  0.007  0.621  0.187
Sb  0.988  0.899  0.932
Sb  0.340  0.143  0.495
Sb  0.691  0.873  0.140
Sb  0.703  0.373  0.609
Sb  0.631  0.350  0.026
Sb  0.982  0.386  0.442
Sb  0.188  0.666  0.798
Sb  0.724  0.623  0.361
Sb  0.031  0.851  0.311
Sb  0.335  0.402  0.246
Sb  0.825  0.088  0.441
Sb  0.812  0.334  0.202
Sb  0.638  0.112  0.271
Sb  0.160  0.150  0.317
Cl  0.530  0.816  0.913
Cl  0.492  0.894  0.351
Cl  0.508  0.106  0.649
Cl  0.499  0.638  0.168
Cl  0.491  0.370  0.403
Cl  0.501  0.362  0.832
Cl  0.470  0.184  0.087
Cl  0.509  0.630  0.597
O  0.215  0.271  0.572
O  0.990  0.240  0.141
O  0.788  0.173  0.299
O  0.238  0.013  0.810
O  0.762  0.987  0.190
O  0.223  0.536  0.322
O  0.185  0.094  0.457
O  0.982  0.264  0.358
O  0.217  0.573  0.963
O  0.827  0.863  0.018
O  0.777  0.464  0.678
O  0.796  0.718  0.211
O  0.902  0.272  0.568
O  0.010  0.760  0.859
O  0.974  0.529  0.089
O  0.783  0.427  0.037
O  0.009  0.996  0.379
O  0.785  0.729  0.428
O  0.922  0.532  0.312
O  0.257  0.272  0.335
O  0.767  0.203  0.727
O  0.743  0.728  0.665
O  0.695  0.257  0.150
O  0.110  0.971  0.161
O  0.243  0.767  0.061
O  0.233  0.797  0.273
O  0.098  0.728  0.432
O  0.204  0.282  0.789
O  0.781  0.461  0.468
O  0.991  0.004  0.621
O  0.212  0.827  0.701
O  0.305  0.743  0.850
O  0.078  0.468  0.688
O  0.181  0.455  0.168
O  0.757  0.233  0.939
O  0.815  0.906  0.543
O  0.819  0.545  0.832
O  0.709  0.000  0.400
O  0.291  0.000  0.600
O  0.018  0.736  0.642
O  0.026  0.471  0.911
O  0.173  0.137  0.982
O  0.219  0.539  0.532
O  0.890  0.029  0.839

=====

Record 2
Density functional theory data (PBE-GGA) for a relaxed structure of BaCa3.

Unit cell a=13.326 b=13.326 c=13.326 alpha=17.35 beta=17.35 gamma=17.35
Atoms (fractional coordinates):
Ba  0.000  0.000  0.000
Ca  0.246  0.246  0.246
Ca  0.500  0.500  0.500
Ca  0.754  0.754  0.754

Properties
Magnetization: 0.0 Bohr magnetons per cell

=====

Record 3
Density functional theory data (PBE-GGA) for a relaxed structure of SiO2.

Unit cell a=5.277 b=14.084 c=22.680 alpha=90.00 beta=90.00 gamma=90.00
Atoms (fractional coordinates):
Si  0.500  0.144  0.500
Si  0.000  0.856  0.000
Si  0.000  0.011  0.500
Si  0.500  0.989  0.000
Si  0.500  0.227  0.372
Si  0.000  0.773  0.128
Si  0.000  0.773  0.872
Si  0.500  0.227  0.628
Si  0.500  0.405  0.300
Si  0.000  0.595  0.200
Si  0.000  0.595  0.800
Si  0.500  0.405  0.700
Si  0.500  0.079  0.128
Si  0.000  0.921  0.372
Si  0.000  0.921  0.628
Si  0.500  0.079  0.872
Si  0.000  0.384  0.220
Si  0.500  0.616  0.280
Si  0.500  0.616  0.720
Si  0.000  0.384  0.780
Si  0.000  0.178  0.177
Si  0.500  0.822  0.323
Si  0.500  0.822  0.677
Si  0.000  0.178  0.823
Si  0.000  0.129  0.316
Si  0.500  0.871  0.184
Si  0.500  0.871  0.816
Si  0.000  0.129  0.684
O  0.500  0.212  0.557
O  0.000  0.788  0.943
O  0.000  0.788  0.057
O  0.500  0.212  0.443
O  0.750  0.077  0.500
O  0.250  0.923  0.000
O  0.750  0.923  0.000
O  0.250  0.077  0.500
O  0.000  0.944  0.442
O  0.500  0.056  0.058
O  0.500  0.056  0.942
O  0.000  0.944  0.558
O  0.500  0.341  0.360
O  0.000  0.659  0.140
O  0.000  0.659  0.860
O  0.500  0.341  0.640
O  0.749  0.179  0.343
O  0.249  0.821  0.157
O  0.751  0.821  0.843
O  0.251  0.179  0.657
O  0.751  0.821  0.157
O  0.251  0.179  0.343
O  0.749  0.179  0.657
O  0.249  0.821  0.843
O  0.500  0.518  0.318
O  0.000  0.482  0.182
O  0.000  0.482  0.818
O  0.500  0.518  0.682
O  0.750  0.380  0.262
O  0.250  0.620  0.238
O  0.750  0.620  0.762
O  0.250  0.380  0.738
O  0.750  0.620  0.238
O  0.250  0.380  0.262
O  0.750  0.380  0.738
O  0.250  0.620  0.762
O  0.500  0.983  0.167
O  0.000  0.017  0.333
O  0.000  0.017  0.667
O  0.500  0.983  0.833
O  0.250  0.141  0.143
O  0.750  0.859  0.357
O  0.250  0.859  0.643
O  0.750  0.141  0.857
O  0.250  0.859  0.357
O  0.750  0.141  0.143
O  0.250  0.141  0.857
O  0.750  0.859  0.643
O  0.000  0.294  0.176
O  0.500  0.706  0.324
O  0.500  0.706  0.676
O  0.000  0.294  0.824
O  0.000  0.138  0.245
O  0.500  0.862  0.255
O  0.500  0.862  0.745
O  0.000  0.138  0.755

=====

Record 4
Density functional theory data (PBE-GGA) for a relaxed structure of HfAlIr.

Unit cell a=5.323 b=5.323 c=8.222 alpha=90.00 beta=90.00 gamma=119.53
Atoms (fractional coordinates):
Hf  0.665  0.335  0.290
Hf  0.329  0.671  0.179
Hf  0.329  0.671  0.821
Hf  0.665  0.335  0.710
Al  0.005  0.995  0.246
Al  0.005  0.995  0.754
Al  0.656  0.827  0.500
Al  0.173  0.344  0.500
Ir  0.171  0.829  0.500
Ir  0.337  0.169  0.000
Ir  0.831  0.663  0.000
Ir  0.833  0.167  0.000

Properties
Magnetization: 0.0 Bohr magnetons per cell

=====

Record 5
Density functional theory data (PBE-GGA) for a relaxed structure of SiO2.

Unit cell a=13.319 b=13.319 c=13.319 alpha=142.95 beta=113.61 gamma=78.54
Atoms (fractional coordinates):
Si  0.626  0.874  0.379
Si  0.232  0.866  0.743
Si  0.762  0.330  0.068
Si  0.380  0.943  0.063
Si  0.005  0.126  0.252
Si  0.626  0.247  0.752
Si  0.238  0.306  0.568
Si  0.620  0.684  0.563
Si  0.623  0.866  0.134
Si  0.623  0.489  0.757
Si  0.762  0.694  0.432
Si  0.374  0.126  0.621
Si  0.768  0.511  0.634
Si  0.620  0.057  0.937
Si  0.374  0.753  0.248
Si  0.232  0.489  0.366
Si  0.377  0.134  0.866
Si  0.380  0.316  0.437
Si  0.995  0.247  0.121
Si  0.995  0.874  0.748
Si  0.238  0.670  0.932
Si  0.768  0.134  0.257
Si  0.377  0.511  0.243
Si  0.005  0.753  0.879
O  0.283  0.656  0.053
O  0.717  0.344  0.947
O  0.281  0.000  0.781
O  0.643  0.349  0.735
O  0.736  0.486  0.250
O  0.601  0.851  0.750
O  0.501  0.568  0.389
O  0.103  0.231  0.447
O  0.365  0.328  0.037
O  0.357  0.093  0.706
O  0.499  0.432  0.611
O  0.790  0.328  0.463
O  0.645  0.055  0.590
O  0.283  0.231  0.627
O  0.886  0.093  0.235
O  0.965  0.055  0.910
O  0.103  0.656  0.873
O  0.719  0.000  0.219
O  0.281  0.500  0.281
O  0.886  0.651  0.794
O  0.499  0.888  0.068
O  0.717  0.769  0.373
O  0.301  0.849  0.048
O  0.500  0.239  0.739
O  0.897  0.769  0.553
O  0.355  0.945  0.410
O  0.399  0.149  0.250
O  0.000  0.761  0.761
O  0.000  0.239  0.239
O  0.699  0.151  0.952
O  0.301  0.252  0.452
O  0.897  0.344  0.127
O  0.643  0.907  0.294
O  0.680  0.568  0.568
O  0.500  0.761  0.261
O  0.635  0.672  0.963
O  0.210  0.672  0.537
O  0.035  0.945  0.090
O  0.264  0.514  0.750
O  0.357  0.651  0.265
O  0.320  0.432  0.432
O  0.114  0.907  0.765
O  0.114  0.349  0.206
O  0.719  0.500  0.719
O  0.699  0.748  0.548
O  0.680  0.112  0.111
O  0.501  0.112  0.932
O  0.320  0.888  0.889

=====

Record 6
Density functional theory data (PBE-GGA) for a relaxed structure of UHg3.

Unit cell a=6.733 b=6.733 c=5.066 alpha=90.00 beta=90.00 gamma=118.89
Atoms (fractional coordinates):
U  0.666  0.334  0.750
U  0.334  0.666  0.250
Hg  0.669  0.835  0.750
Hg  0.165  0.835  0.750
Hg  0.165  0.331  0.750
Hg  0.331  0.165  0.250
Hg  0.835  0.165  0.250
Hg  0.835  0.669  0.250

Properties
Magnetization: 6.5 Bohr magnetons per cell

=====

Record 7
Density functional theory data (PBE-GGA) for a relaxed structure of SmAlSi.

Unit cell a=4.180 b=4.180 c=7.847 alpha=105.44 beta=105.44 gamma=90.00
Atoms (fractional coordinates):
Sm  0.171  0.171  0.341
Sm  0.421  0.921  0.841
Al  0.587  0.587  0.173
Al  0.837  0.337  0.673
Si  0.002  0.502  0.005
Si  0.752  0.752  0.505

Properties
Largest piezoelectric modulus: 1.1 C/m²

=====

Record 8
Density functional theory data (PBE-GGA) for a relaxed structure of Na5SrNbAs4.

Unit cell a=9.614 b=9.614 c=7.559 alpha=89.98 beta=89.98 gamma=120.11
Atoms (fractional coordinates):
Na  0.531  0.473  0.616
Na  0.941  0.472  0.616
Na  0.473  0.531  0.116
Na  0.472  0.941  0.116
Na  0.138  0.854  0.784
Na  0.714  0.852  0.788
Na  0.145  0.287  0.780
Na  0.854  0.138  0.284
Na  0.287  0.145  0.280
Na  0.852  0.714  0.288
Sr  0.531  0.060  0.611
Sr  0.060  0.531  0.111
Nb  0.333  0.663  0.500
Nb  0.663  0.333  0.000
As  0.334  0.670  0.831
As  0.670  0.334  0.331
As  0.810  0.192  0.896
As  0.380  0.189  0.894
As  0.812  0.619  0.899
As  0.192  0.810  0.396
As  0.619  0.812  0.399
As  0.189  0.380  0.394

Properties
Magnetization: 0.0 Bohr magnetons per cell

=====

Record 9
Density functional theory data (PBE-GGA) for a relaxed structure of CdHgSe2.

Unit cell a=7.642 b=7.642 c=7.642 alpha=33.58 beta=33.58 gamma=33.58
Atoms (fractional coordinates):
Cd  0.500  0.500  0.500
Hg  0.000  0.000  0.000
Se  0.126  0.126  0.126
Se  0.624  0.624  0.624

=====

Record 10
Density functional theory data (PBE-GGA) for a relaxed structure of PmNdRu2.

Unit cell a=4.959 b=4.959 c=4.959 alpha=60.00 beta=60.00 gamma=60.00
Atoms (fractional coordinates):
Pm  0.000  0.000  0.000
Nd  0.500  0.500  0.500
Ru  0.250  0.250  0.250
Ru  0.750  0.750  0.750

Properties
Magnetization: 0.0 Bohr magnetons per cell

=====

Record 11
Density functional theory data (PBE-GGA) for a relaxed structure of CrPbN2.

Unit cell a=3.618 b=3.618 c=9.790 alpha=90.00 beta=90.00 gamma=90.00
Atoms (fractional coordinates):
Cr  0.750  0.750  0.570
Cr  0.250  0.250  0.430
Pb  0.750  0.750  0.131
Pb  0.250  0.250  0.869
N  0.750  0.250  0.500
N  0.250  0.750  0.500
N  0.750  0.750  0.739
N  0.250  0.250  0.261

=====

Record 12
Density functional theory data (PBE-GGA) for a relaxed structure of ScFe6Ge6.

Unit cell a=5.067 b=5.067 c=8.083 alpha=90.00 beta=90.00 gamma=120.00
Atoms (fractional coordinates):
Sc  0.000  0.000  0.000
Fe  0.500  0.000  0.249
Fe  0.500  0.500  0.249
Fe  0.000  0.500  0.249
Fe  0.500  0.000  0.751
Fe  0.500  0.500  0.751
Fe  0.000  0.500  0.751
Ge  0.333  0.667  0.500
Ge  0.667  0.333  0.500
Ge  0.333  0.667  0.000
Ge  0.667  0.333  0.000
Ge  0.000  0.000  0.658
Ge  0.000  0.000  0.342

=====

Record 13
Density functional theory data (PBE-GGA) for a relaxed structure of Ac3Sm.

Unit cell a=7.862 b=7.862 c=6.319 alpha=90.00 beta=90.00 gamma=120.00
Atoms (fractional coordinates):
Ac  0.169  0.337  0.250
Ac  0.663  0.831  0.250
Ac  0.169  0.831  0.250
Ac  0.831  0.663  0.750
Ac  0.337  0.169  0.750
Ac  0.831  0.169  0.750
Sm  0.333  0.667  0.750
Sm  0.667  0.333  0.250

=====

For reference, DFT total energy by record: -5.644, -1.945, -7.900, -8.323, -7.909, -2.874, -5.287, -3.976, -2.461, -7.112, -7.416, -6.808, -4.217 eV per atom.